Record 1
{"formula": "SnMo3", "functional": "PBE", "state": "optimized geometry", "cell": [[1.6629, -2.3630, 0.0000], [1.6629, 2.3630, 0.0000], [0.0000, 0.0000, 8.8425]], "species": ["Mo", "Sn", "Mo", "Mo"], "fractional_positions": [[0.5000, 0.5000, 0.2627], [0.0000, 0.0000, 0.0000], [0.5000, 0.5000, 0.7373], [0.0000, 0.0000, 0.5000]], "space_group": "Cmmm (65)", "de_polymorph_kj_per_mol_fu": 92.1, "formation_energy_ev_per_fu": 1.2, "final_energy_ev_per_atom": -8.85}

=====

Record 2
{"formula": "SnMo3", "functional": "PBE", "state": "optimized geometry", "cell": [[5.1277, 0.0000, 0.0000], [0.0000, 5.1277, 0.0000], [0.0000, 0.0000, 5.1277]], "species": ["Mo", "Mo", "Sn", "Mo", "Mo", "Mo", "Sn", "Mo"], "fractional_positions": [[0.0000, 0.5000, 0.7500], [0.7500, 0.0000, 0.5000], [0.5000, 0.5000, 0.5000], [0.5000, 0.2500, 0.0000], [0.0000, 0.5000, 0.2500], [0.5000, 0.7500, 0.0000], [0.0000, 0.0000, 0.0000], [0.2500, 0.0000, 0.5000]], "space_group": "Pm-3n (223)", "de_polymorph_kj_per_mol_fu": 0.0, "formation_energy_ev_per_fu": 0.2, "final_energy_ev_per_atom": -9.08}

=====

Record 3
{"formula": "Sn3Mo", "functional": "PBE", "state": "optimized geometry", "cell": [[-2.2498, 2.2498, 4.4268], [2.2498, -2.2498, 4.4268], [2.2498, 2.2498, -4.4268]], "species": ["Sn", "Sn", "Sn", "Mo"], "fractional_positions": [[0.2500, 0.7500, 0.5000], [0.5000, 0.5000, 0.0000], [0.7500, 0.2500, 0.5000], [0.0000, 0.0000, 0.0000]], "space_group": "I4/mmm (139)", "formation_energy_ev_per_fu": 2.2, "final_energy_ev_per_atom": -5.18}

=====

Record 4
{"formula": "Sn2Mo", "functional": "PBE", "state": "optimized geometry", "cell": [[2.7719, -4.8011, 0.0000], [2.7719, 4.8011, 0.0000], [0.0000, 0.0000, 14.3419]], "species": ["Sn", "Sn", "Sn", "Sn", "Sn", "Mo", "Mo", "Sn", "Sn", "Sn", "Mo", "Sn", "Mo", "Sn", "Sn", "Mo", "Sn", "Mo"], "fractional_positions": [[0.5000, 0.5000, 0.7301], [0.5000, 0.0000, 0.6032], [0.0000, 0.5000, 0.0635], [0.1677, 0.8323, 0.8333], [0.5000, 0.0000, 0.3968], [0.0000, 0.5000, 0.6667], [0.0000, 0.0000, 0.6667], [0.6646, 0.8323, 0.1667], [0.5000, 0.5000, 0.9365], [0.3354, 0.1677, 0.1667], [0.5000, 0.5000, 0.3333], [0.1677, 0.3354, 0.5000], [0.0000, 0.0000, 0.3333], [0.0000, 0.5000, 0.2699], [0.8323, 0.6646, 0.5000], [0.5000, 0.0000, 0.0000], [0.8323, 0.1677, 0.8333], [0.0000, 0.0000, 0.0000]], "space_group": "P6_222 (180)", "formation_energy_ev_per_fu": 0.0, "final_energy_ev_per_atom": -6.27}

=====

Record 5
{"formula": "Ta2MoW", "functional": "PBE", "state": "optimized geometry", "cell": [[-0.6880, -3.3582, 3.0423], [-3.9678, -2.2940, 0.0229], [-0.1321, -4.3640, -1.3946]], "species": ["Ta", "Mo", "Ta", "W"], "fractional_positions": [[0.7500, 0.7500, 0.7500], [0.5000, 0.5000, 0.5000], [0.2500, 0.2500, 0.2500], [0.0000, 0.0000, 0.0000]], "space_group": "Fm-3m (225)", "formation_energy_ev_per_fu": -0.6, "final_energy_ev_per_atom": -12.03}

=====

Record 6
{"formula": "TaMoW", "functional": "PBE", "state": "optimized geometry", "cell": [[-0.3971, -6.9916, -1.4646], [-3.0502, -6.1686, -1.0465], [0.5308, -0.2139, -2.7502]], "species": ["Ta", "W", "Mo"], "fractional_positions": [[0.6662, 0.6662, 0.3338], [0.3361, 0.3361, 0.6639], [0.9977, 0.9977, 0.0023]], "space_group": "Fmm2 (42)", "formation_energy_ev_per_fu": -0.3, "final_energy_ev_per_atom": -11.97}

=====

Record 7
{"formula": "Tc3Mo", "functional": "PBE", "state": "optimized geometry", "cell": [[-1.9598, 1.9598, 3.9068], [1.9598, -1.9598, 3.9068], [1.9598, 1.9598, -3.9068]], "species": ["Tc", "Tc", "Mo", "Tc"], "fractional_positions": [[0.5000, 0.5000, 0.0000], [0.2500, 0.7500, 0.5000], [0.0000, 0.0000, 0.0000], [0.7500, 0.2500, 0.5000]], "space_group": "I4/mmm (139)", "de_polymorph_kj_per_mol_fu": 6.0, "formation_energy_ev_per_fu": 0.5, "final_energy_ev_per_atom": -10.36}

=====

Record 8
{"formula": "Tc3Mo", "functional": "PBE", "state": "optimized geometry", "cell": [[1.3860, -2.4006, 0.0000], [1.3860, 2.4006, 0.0000], [0.0000, 0.0000, 8.9880]], "species": ["Mo", "Tc", "Tc", "Tc"], "fractional_positions": [[0.3333, 0.6667, 0.5000], [0.3333, 0.6667, 0.0000], [0.6667, 0.3333, 0.2427], [0.6667, 0.3333, 0.7573]], "space_group": "P-6m2 (187)", "de_polymorph_kj_per_mol_fu": 0.0, "formation_energy_ev_per_fu": 0.4, "final_energy_ev_per_atom": -10.38}